Entry from the Materials Project database: an optimized crystal structure of Mg4RuN4 (PBE-GGA).

abc: 5.4193 5.4389 8.1141
angles: 73.85 87.14 70.59
Last column: nearest neighbours and their distance in Å.
Positions (direct):
1 Mg 0.2341 0.2642 0.0002  4 N 2.16-2.18
2 Mg 0.2338 0.8385 0.7896  4 N 2.08-2.10
3 Mg 0.2371 0.0532 0.4152  5 N 2.16-2.30
4 Mg 0.2462 0.4734 0.5905  5 N 2.21-2.30
5 Mg 0.7538 0.5266 0.4095  5 N 2.21-2.30
6 Mg 0.7629 0.9468 0.5848  5 N 2.16-2.30
7 Mg 0.7662 0.1615 0.2104  4 N 2.08-2.10
8 Mg 0.7659 0.7358 0.9998  4 N 2.16-2.18
9 Ru 0.2449 0.6286 0.2244  3 N 1.83-2.01
10 Ru 0.7551 0.3714 0.7756  3 N 1.83-2.01
11 N 0.0048 0.3997 0.2046  5 Mg 2.10-2.21, 1 Ru 2.12
12 N 0.0099 0.2016 0.6210  1 Ru 1.99, 4 Mg 2.08-2.22
13 N 0.3491 0.8314 0.0314  1 Ru 1.83
14 N 0.4901 0.2948 0.3855  1 Ru 2.01, 3 Mg 2.10-2.24
15 N 0.5099 0.7052 0.6145  1 Ru 2.01, 3 Mg 2.10-2.24
16 N 0.6509 0.1686 0.9686  1 Ru 1.83
17 N 0.9901 0.7984 0.3790  1 Ru 1.99, 4 Mg 2.08-2.22
18 N 0.9952 0.6003 0.7954  5 Mg 2.10-2.21, 1 Ru 2.12

Calculated values
uncorrected energy	-104.469	eV/cell
volume	216	Å³/cell
space group	P-1, No. 2
formation energy	-0.517	eV per atom